Eu2MgIrO6 | PBE | relaxed

Calculated values
E_form = -2.636 eV/atom
calculated volume = 243.7 Å³/cell
electronic total energy = -165.8 eV/cell

Cell: 5.4694 5.7005 9.5401 Å, 90.00 124.97 90.00°
Last column: nearest neighbours and their distance in Å.
Space group P2_1/c (No. 14)
Symmetry-distinct sites (fractional):
Eu  0.2334  0.0595  0.2483  6 O 2.37-2.62
Mg  0.0000  0.0000  0.5000  6 O 2.05-2.10
Ir  0.5000  0.0000  0.0000  6 O 1.99-2.00
O  0.1603  0.1980  0.9547  1 Ir 2.00, 1 Mg 2.09
O  0.2566  0.7108  0.9503  1 Ir 2.00, 1 Mg 2.10
O  0.3450  0.0270  0.7542  1 Ir 1.99, 1 Mg 2.05